1.
Below is a geometry-optimized Mg3Si4 structure, with properties calculated at the PBE-GGA level.

Properties
ΔE to the lowest computed polymorph ... 38.7 meV per atom
ρ ... 2320 kg/m3
ΔE_f ... 0.132 eV/atom
Magnetic moment ... 0.0 μB/f.u.
Space-group type ... No. 1

a = 6.0481 Å, b = 6.6568 Å, c = 7.6793 Å
α = 107.38°, β = 104.60°, γ = 105.48°
With the nearest neighbours (Å) after each atom.
Fractional positions:
Mg1 0.0000 0.0000 0.0000  5 Si 2.73-2.89
Mg2 0.0106 0.6592 0.6246  5 Si 2.72-2.88, 1 Mg 3.04
Mg3 0.2665 0.6983 0.1279  6 Si 2.71-2.92
Mg4 0.5267 0.5368 0.7649  4 Si 2.78-3.07
Mg5 0.5573 0.9483 0.6238  4 Si 2.62-2.92
Mg6 0.6332 0.1849 0.3630  3 Si 2.68-2.94, 1 Mg 2.94
Si1 0.1224 0.0000 0.3885  3 Si 2.42-2.47
Si2 0.1307 0.3607 0.3576  3 Si 2.42-2.47
Si3 0.2039 0.1320 0.7362  3 Si 2.41-2.43
Si4 0.4421 0.9963 0.9470  2 Si 2.43-2.48, 1 Mg 2.69
Si5 0.5444 0.5647 0.3891  2 Si 2.42-2.47, 2 Mg 2.62-2.68
Si6 0.7382 0.6830 0.1706  3 Si 2.42-2.47
Si7 0.8188 0.3383 0.0660  4 Si 2.42-2.48
Si8 0.9456 0.3445 0.7929  2 Si 2.41-2.42

2.
Below is a geometry-optimized Mg2Si3 structure, with properties calculated at the PBE-GGA level.

Properties
ΔE to the lowest computed polymorph ... 98.1 meV per atom
ρ ... 2351 kg/m3
ΔE_f ... 0.177 eV/atom
Magnetic moment ... 0.0 μB/f.u.
Space-group type ... No. 1

a = 3.7933 Å, b = 5.9454 Å, c = 16.9104 Å
α = 93.14°, β = 92.12°, γ = 99.26°
With the nearest neighbours (Å) after each atom.
Fractional positions:
Mg1 0.0000 0.0000 0.0000  7 Si 2.78-3.09, 1 Mg 3.07
Mg2 0.0329 0.7734 0.2306  8 Si 2.75-3.04, 1 Mg 2.99
Mg3 0.1204 0.3166 0.1584  7 Si 2.72-3.00, 1 Mg 2.99
Mg4 0.1627 0.0725 0.3879  6 Si 2.72-3.03
Mg5 0.5348 0.3058 0.9038  5 Si 2.64-2.89
Mg6 0.6141 0.7843 0.4986  7 Si 2.81-3.09, 1 Mg 2.93
Mg7 0.6527 0.5398 0.7367  5 Si 2.72-2.95
Mg8 0.7677 0.0984 0.6400  7 Si 2.60-2.91
Si1 0.0205 0.5697 0.3915  3 Si 2.44-2.49
Si2 0.1180 0.5275 0.0015  3 Si 2.42-2.51
Si3 0.1764 0.7536 0.6331  2 Si 2.42-2.53
Si4 0.3298 0.3965 0.5810  3 Si 2.42-2.44
Si5 0.3512 0.9277 0.7714  4 Si 2.37-2.53
Si6 0.4450 0.7673 0.9008  2 Si 2.47-2.51
Si7 0.4857 0.4849 0.3031  3 Si 2.44-2.45
Si8 0.5350 0.9900 0.1265  2 Si 2.43-2.44
Si9 0.6224 0.1033 0.2678  2 Si 2.44-2.45, 1 Mg 2.72
Si10 0.6496 0.6098 0.0886  3 Si 2.42-2.44
Si11 0.7917 0.3066 0.4941  3 Si 2.43-2.49
Si12 0.9367 0.1821 0.7902  2 Si 2.37-2.48, 2 Mg 2.60-2.64

3.
Below is a geometry-optimized MgSi3 structure, with properties calculated at the PBE-GGA level.

Properties
ρ ... 2755 kg/m3
ΔE_f ... 0.359 eV/atom
Magnetic moment ... 0.0 μB/f.u.
Space-group type ... No. 194

a = 5.6593 Å, b = 5.6593 Å, c = 4.7180 Å
α = 90.00°, β = 90.00°, γ = 120.00°
With the nearest neighbours (Å) after each atom.
Fractional positions:
Mg1 0.3333 0.6667 0.2500  12 Si 2.83-2.95
Mg2 0.6667 0.3333 0.7500  12 Si 2.83-2.95
Si1 0.1531 0.3062 0.7500  6 Si 2.60-2.80, 2 Mg 2.83
Si2 0.1531 0.8469 0.7500  6 Si 2.60-2.80, 2 Mg 2.83
Si3 0.3062 0.1531 0.2500  6 Si 2.60-2.80, 2 Mg 2.83
Si4 0.6938 0.8469 0.7500  6 Si 2.60-2.80, 2 Mg 2.83
Si5 0.8469 0.1531 0.2500  6 Si 2.60-2.80, 2 Mg 2.83
Si6 0.8469 0.6938 0.2500  6 Si 2.60-2.80, 2 Mg 2.83

4.
Below is a geometry-optimized Mg4Si3 structure, with properties calculated at the PBE-GGA level.

Properties
ΔE to the lowest computed polymorph ... 111.3 meV per atom
ρ ... 2254 kg/m3
ΔE_f ... 0.115 eV/atom
Magnetic moment ... 0.0 μB/f.u.
Space-group type ... No. 2

a = 6.1094 Å, b = 6.9964 Å, c = 7.4960 Å
α = 111.89°, β = 105.53°, γ = 102.76°
With the nearest neighbours (Å) after each atom.
Fractional positions:
Mg1 0.0679 0.2567 0.1686  4 Si 2.78-3.03, 2 Mg 3.02-3.09
Mg2 0.2523 0.9083 0.2940  4 Si 2.75-2.88
Mg3 0.3243 0.6653 0.6115  3 Si 2.72-2.83
Mg4 0.3719 0.1439 0.9141  4 Si 2.74-3.06, 1 Mg 3.02
Mg5 0.6281 0.8561 0.0859  4 Si 2.74-3.06, 1 Mg 3.02
Mg6 0.6757 0.3347 0.3885  3 Si 2.72-2.83
Mg7 0.7477 0.0917 0.7060  4 Si 2.75-2.88
Mg8 0.9321 0.7433 0.8314  4 Si 2.78-3.03, 2 Mg 3.02-3.09
Si1 0.0440 0.1833 0.5044  3 Si 2.47-2.71, 2 Mg 2.76-2.77
Si2 0.1830 0.4780 0.9085  4 Si 2.68-2.93, 4 Mg 2.78-2.90
Si3 0.4922 0.3704 0.7043  3 Si 2.49-2.79, 3 Mg 2.72-2.75
Si4 0.5078 0.6296 0.2957  3 Si 2.49-2.79, 3 Mg 2.72-2.75
Si5 0.8170 0.5220 0.0915  4 Si 2.68-2.93, 4 Mg 2.78-2.90
Si6 0.9560 0.8167 0.4956  3 Si 2.47-2.71, 2 Mg 2.76-2.77

5.
Below is a geometry-optimized Mg3Si4 structure, with properties calculated at the PBE-GGA level.

Properties
ΔE to the lowest computed polymorph ... 51.8 meV per atom
ρ ... 2304 kg/m3
ΔE_f ... 0.145 eV/atom
Magnetic moment ... 0.0 μB/f.u.
Space-group type ... No. 1

a = 4.8790 Å, b = 7.4208 Å, c = 7.9041 Å
α = 85.68°, β = 73.30°, γ = 77.02°
With the nearest neighbours (Å) after each atom.
Fractional positions:
Mg1 0.0000 0.0000 0.0000  4 Si 2.64-2.93
Mg2 0.0150 0.6634 0.7684  5 Si 2.75-2.90
Mg3 0.1563 0.6876 0.3597  7 Si 2.76-3.02, 1 Mg 3.05
Mg4 0.3779 0.2334 0.1961  6 Si 2.71-3.00
Mg5 0.5299 0.1105 0.7402  6 Si 2.78-2.98, 1 Mg 3.04
Mg6 0.8196 0.5109 0.1706  6 Si 2.71-2.95
Si1 0.0182 0.3497 0.5768  3 Si 2.38-2.60
Si2 0.1640 0.9805 0.5709  3 Si 2.46-2.67
Si3 0.3633 0.5764 0.9943  2 Si 2.40-2.46
Si4 0.5225 0.8554 0.0424  2 Si 2.46-2.49, 2 Mg 2.64-2.70
Si5 0.5255 0.4075 0.4957  3 Si 2.43-2.60, 1 Mg 2.71
Si6 0.6161 0.8805 0.3318  3 Si 2.46-2.49
Si7 0.7871 0.3345 0.8859  2 Si 2.38-2.40, 1 Mg 2.66
Si8 0.8666 0.1295 0.3620  3 Si 2.43-2.54, 1 Mg 2.71

6.
Below is a geometry-optimized Mg4Si3 structure, with properties calculated at the PBE-GGA level.

Properties
ΔE to the lowest computed polymorph ... 81.7 meV per atom
ρ ... 2063 kg/m3
ΔE_f ... 0.085 eV/atom
Magnetic moment ... 0.0 μB/f.u.
Space-group type ... No. 1

a = 4.8495 Å, b = 7.5029 Å, c = 8.3121 Å
α = 96.06°, β = 99.04°, γ = 99.27°
With the nearest neighbours (Å) after each atom.
Fractional positions:
Mg1 0.0000 0.0000 0.0000  4 Si 2.71-2.90
Mg2 0.0169 0.9930 0.6180  5 Si 2.63-2.94
Mg3 0.2682 0.3896 0.1821  4 Si 2.65-2.75
Mg4 0.3068 0.3858 0.5677  6 Si 2.73-3.03, 1 Mg 2.97
Mg5 0.4194 0.7116 0.8201  3 Si 2.68-2.94, 1 Mg 2.97
Mg6 0.4436 0.9912 0.3904  4 Si 2.71-2.91, 1 Mg 3.02
Mg7 0.7935 0.7116 0.2590  4 Si 2.66-2.98
Mg8 0.8939 0.4426 0.8688  4 Si 2.68-2.90
Si1 0.2463 0.7268 0.1139  7 Mg 2.66-2.90
Si2 0.3616 0.2786 0.8735  1 Si 2.37
Si3 0.5728 0.0489 0.7480  1 Si 2.37, 1 Mg 2.63
Si4 0.7498 0.3838 0.3804  2 Si 2.36-2.37, 1 Mg 2.65
Si5 0.8634 0.6233 0.6022  1 Si 2.36
Si6 0.9576 0.1249 0.3184  1 Si 2.37